The following is a PBE+U calculation of a relaxed structure of Li5V3P8O29, from the Materials Project.

Properties
Offset from the most stable computed form, eV/atom: 0.004
DFT formation energy, eV/atom: -2.617
Total energy, eV/atom: -7.03
Density, g/cm³: 2.5

CIF file:
```
data_Li5V3P8O29
_cell_length_a 9.7835
_cell_length_b 9.8191
_cell_length_c 14.0871
_cell_angle_alpha 89.73
_cell_angle_beta 89.97
_cell_angle_gamma 60.22
_symmetry_space_group_name_H-M 'P 1'
_symmetry_Int_Tables_number 1
loop_
_symmetry_equiv_pos_as_xyz
'x,y,z'
loop_
_atom_site_label
_atom_site_type_symbol
_atom_site_fract_x
_atom_site_fract_y
_atom_site_fract_z
Li1 Li 0.0000 0.0000 0.0000
Li2 Li 0.0069 0.4332 0.4966
Li3 Li 0.1329 0.4460 0.9987
Li4 Li 0.1427 0.8652 0.4958
Li5 Li 0.2210 0.6787 0.8803
Li6 Li 0.5742 0.0005 0.4960
Li7 Li 0.5865 0.8592 0.0012
Li8 Li 0.6753 0.0903 0.8786
Li9 Li 0.8057 0.1069 0.3755
Li10 Li 0.9247 0.7279 0.4303
V1 V 0.3391 0.3424 0.1929
V2 V 0.3405 0.7714 0.6876
V3 V 0.4692 0.2042 0.6844
V4 V 0.4745 0.7693 0.1920
V5 V 0.9035 0.3425 0.6913
V6 V 0.9058 0.2065 0.1858
P1 P 0.1296 0.8603 0.2811
P2 P 0.1388 0.4500 0.7812
P3 P 0.2145 0.5472 0.5983
P4 P 0.2232 0.6846 0.0992
P5 P 0.2322 0.1074 0.5667
P6 P 0.2431 0.1049 0.0687
P7 P 0.5720 0.4339 0.8077
P8 P 0.5757 0.4340 0.3102
P9 P 0.5860 0.8593 0.7822
P10 P 0.5897 0.0000 0.2783
P11 P 0.6720 0.0925 0.0957
P12 P 0.6829 0.6872 0.5990
P13 P 0.8182 0.0894 0.5964
P14 P 0.8186 0.5435 0.0990
P15 P 0.9925 0.0031 0.7795
P16 P 0.9917 0.4571 0.2815
O1 O 0.0026 0.1534 0.7599
O2 O 0.0880 0.2609 0.6108
O3 O 0.0935 0.0992 0.1067
O4 O 0.1096 0.5603 0.5176
O5 O 0.1112 0.7884 0.3710
O6 O 0.1121 0.7697 0.1893
O7 O 0.1194 0.5685 0.6965
O8 O 0.1447 0.7709 0.0090
O9 O 0.1470 0.5239 0.8722
O10 O 0.1572 0.8552 0.7799
O11 O 0.1621 0.4309 0.2674
O12 O 0.2229 0.1207 0.4610
O13 O 0.2233 0.9619 0.6047
O14 O 0.2402 0.1135 0.9628
O15 O 0.2404 0.2552 0.1124
O16 O 0.2443 0.5168 0.0989
O17 O 0.2455 0.6882 0.5997
O18 O 0.2839 0.8615 0.2695
O19 O 0.2855 0.2910 0.7615
O20 O 0.3705 0.3909 0.6075
O21 O 0.3816 0.6773 0.1165
O22 O 0.3899 0.0948 0.6050
O23 O 0.3946 0.9565 0.1076
O24 O 0.4213 0.5842 0.7693
O25 O 0.4231 0.4368 0.2620
O26 O 0.4251 0.8693 0.7579
O27 O 0.4326 0.1559 0.2659
O28 O 0.5230 0.2503 0.1161
O29 O 0.5270 0.6867 0.6066
O30 O 0.5614 0.8599 0.2752
O31 O 0.5644 0.4269 0.4151
O32 O 0.5666 0.0263 0.7735
O33 O 0.5769 0.2833 0.7665
O34 O 0.5788 0.5771 0.2664
O35 O 0.5829 0.4292 0.9128
O36 O 0.6501 0.1115 0.5959
O37 O 0.6501 0.7847 0.8751
O38 O 0.6509 0.6875 0.0986
O39 O 0.6576 0.0162 0.0071
O40 O 0.6767 0.9986 0.3672
O41 O 0.6962 0.9809 0.1867
O42 O 0.7012 0.7753 0.5174
O43 O 0.7028 0.7618 0.6971
O44 O 0.7187 0.2796 0.2709
O45 O 0.7210 0.4338 0.7594
O46 O 0.8095 0.3911 0.1166
O47 O 0.8165 0.2453 0.6120
O48 O 0.8211 0.1087 0.0944
O49 O 0.8251 0.5150 0.6010
O50 O 0.8941 0.5703 0.1952
O51 O 0.9031 0.0177 0.8691
O52 O 0.9026 0.9821 0.6892
O53 O 0.9053 0.0047 0.5080
O54 O 0.9154 0.5326 0.0158
O55 O 0.9281 0.5411 0.3732
O56 O 0.9851 0.0294 0.2717
O57 O 0.9907 0.4308 0.7725
O58 O 0.9928 0.3023 0.2703
```